Entry from the Materials Project: Rb2MgV2Cu4S8 after structural relaxation (PBE).

abc: 5.549 7.462 9.964
angles: 90.00 105.82 90.00
Element x y z (fractional)
Rb: 0.573 0.750 0.387
Rb: 0.174 0.250 0.637
Mg: 0.958 0.750 0.040
V: 0.494 0.750 0.781
V: 0.708 0.250 0.219
Cu: 0.607 0.491 0.999
Cu: 0.208 0.250 0.213
Cu: 0.989 0.750 0.770
Cu: 0.607 0.009 0.999
S: 0.944 0.003 0.209
S: 0.363 0.750 0.981
S: 0.379 0.250 0.025
S: 0.743 0.508 0.799
S: 0.171 0.750 0.594
S: 0.743 0.992 0.799
S: 0.561 0.250 0.401
S: 0.944 0.497 0.209

Summary:
For the energy above the lowest structure with this stoichiometry, the calculation gives 0.000 eV/atom. As for the space group: Pm (6). The formation energy is -1013 meV per atom. Its total moment is 2.00 μB/f.u.